# 1
Compound: BaSrNi4O12
Source: the Materials Project
Functional: PBE with a Hubbard U
Structure: optimized geometry

Cell lengths 5.5684, 5.5684, 7.8700 Å; angles 90.00, 90.00, 90.00 degrees
With the nearest neighbours (Å) after each atom.
Element x y z (fractional)
Ba 0.5000 0.5000 0.0000  12 O 2.78-2.81
Sr 0.0000 0.0000 0.5000  12 O 2.76-2.78
Ni 0.0000 0.5000 0.7495  6 O 1.96-1.97
Ni 0.0000 0.5000 0.2505  6 O 1.96-1.97
Ni 0.5000 0.0000 0.7495  6 O 1.96-1.97
Ni 0.5000 0.0000 0.2505  6 O 1.96-1.97
O 0.2476 0.2476 0.7474  2 Ni 1.97
O 0.2476 0.2476 0.2526  2 Ni 1.97
O 0.7524 0.7524 0.7474  2 Ni 1.97
O 0.7524 0.7524 0.2526  2 Ni 1.97
O 0.7524 0.2476 0.7474  2 Ni 1.97
O 0.7524 0.2476 0.2526  2 Ni 1.97
O 0.2476 0.7524 0.2526  2 Ni 1.97
O 0.2476 0.7524 0.7474  2 Ni 1.97
O 0.0000 0.5000 0.5000  2 Ni 1.96
O 0.0000 0.5000 0.0000  2 Ni 1.97
O 0.5000 0.0000 0.5000  2 Ni 1.96
O 0.5000 0.0000 0.0000  2 Ni 1.97

SG   P4/mmm, No. 123
M_tot   14.895 μB/cell


# 2
Compound: BaSrV4Ni4O16
Source: the Materials Project
Functional: PBE with a Hubbard U
Structure: optimized geometry

Cell lengths 9.7583, 9.7583, 9.7583 Å; angles 100.90, 100.90, 128.46 degrees
With the nearest neighbours (Å) after each atom.
Element x y z (fractional)
Ba 0.2500 0.7500 0.5000  12 O 2.78-3.10
Ba 0.7500 0.2500 0.5000  12 O 2.78-3.10
Sr 0.5000 0.5000 0.0000  8 O 2.71-2.93
Sr 0.0000 0.0000 0.0000  8 O 2.71-2.93
V 0.0445 0.8766 0.6719  4 O 1.73-1.77
V 0.7047 0.3766 0.8321  4 O 1.73-1.77
V 0.5445 0.8726 0.1679  4 O 1.73-1.77
V 0.2047 0.3726 0.3281  4 O 1.73-1.77
V 0.1234 0.7953 0.1679  4 O 1.73-1.77
V 0.6234 0.4555 0.3281  4 O 1.73-1.77
V 0.1274 0.2953 0.6719  4 O 1.73-1.77
V 0.6274 0.9555 0.8321  4 O 1.73-1.77
Ni 0.6689 0.8311 0.5000  6 O 2.05-2.14
Ni 0.8311 0.3311 0.1622  6 O 2.05-2.14
Ni 0.4183 0.0817 0.0000  6 O 2.04-2.14
Ni 0.5817 0.5817 0.6634  6 O 2.04-2.14
Ni 0.3311 0.1689 0.5000  6 O 2.05-2.14
Ni 0.1689 0.6689 0.8378  6 O 2.05-2.14
Ni 0.0817 0.4183 0.0000  6 O 2.04-2.14
Ni 0.9183 0.9183 0.3366  6 O 2.04-2.14
O 0.6840 0.6692 0.3334  1 V 1.76
O 0.8358 0.1692 0.9852  1 V 1.76
O 0.4183 0.9010 0.8363  1 V 1.77
O 0.5646 0.4010 0.4827  1 V 1.77
O 0.3358 0.3506 0.6666  1 V 1.76
O 0.1840 0.8506 0.0148  1 V 1.76
O 0.0646 0.5820 0.1637  1 V 1.77
O 0.9183 0.0820 0.5173  1 V 1.77
O 0.3308 0.6642 0.0148  1 V 1.76
O 0.8308 0.8160 0.6666  1 V 1.76
O 0.0990 0.9354 0.5173  1 V 1.77
O 0.5990 0.0817 0.1637  1 V 1.77
O 0.6494 0.3160 0.9852  1 V 1.76
O 0.1494 0.1642 0.3334  1 V 1.76
O 0.4180 0.5817 0.4827  1 V 1.77
O 0.9180 0.4354 0.8363  1 V 1.77
O 0.4374 0.2769 0.1545  1 V 1.73
O 0.6225 0.7769 0.8395  1 V 1.73
O 0.6369 0.9707 0.6601  1 V 1.73
O 0.8106 0.4707 0.3337  1 V 1.73
O 0.1225 0.2829 0.8455  1 V 1.73
O 0.9374 0.7829 0.1605  1 V 1.73
O 0.3106 0.9769 0.3399  1 V 1.73
O 0.1369 0.4769 0.6663  1 V 1.73
O 0.7231 0.8775 0.1605  1 V 1.73
O 0.2231 0.0626 0.8455  1 V 1.73
O 0.0293 0.6894 0.6663  1 V 1.73
O 0.5293 0.8631 0.3399  1 V 1.73
O 0.7171 0.5626 0.8395  1 V 1.73
O 0.2171 0.3775 0.1545  1 V 1.73
O 0.0231 0.3631 0.3337  1 V 1.73
O 0.5231 0.1894 0.6601  1 V 1.73

SG   I-4c2, No. 120


# 3
Compound: Ba2TlNi2O7
Source: the Materials Project
Functional: PBE with a Hubbard U
Structure: optimized geometry

Cell lengths 3.6837, 3.6837, 13.6545 Å; angles 90.00, 90.00, 90.00 degrees
With the nearest neighbours (Å) after each atom.
Element x y z (fractional)
Ba 0.5000 0.5000 0.7114  9 O 2.73-2.89
Ba 0.5000 0.5000 0.2886  9 O 2.73-2.89
Tl 0.0000 0.0000 0.5000  2 O 2.08
Ni 0.0000 0.0000 0.8912  4 O 1.86
Ni 0.0000 0.0000 0.1088  4 O 1.86
O 0.5000 0.5000 0.5000  4 Tl 2.60, 2 Ba 2.89
O 0.0000 0.5000 0.8704  2 Ni 1.86
O 0.5000 0.0000 0.8704  2 Ni 1.86
O 0.0000 0.5000 0.1296  2 Ni 1.86
O 0.5000 0.0000 0.1296  2 Ni 1.86
O 0.0000 0.0000 0.6523  1 Tl 2.08
O 0.0000 0.0000 0.3477  1 Tl 2.08

SG   P4/mmm, No. 123
M_tot   3.129 μB/cell


| no. | energy relative to the elements (eV/f.u.) |
| --- | --- |
| 1 | -15.5 |
| 2 | -59.0 |
| 3 | -16.2 |